# Cr3FeO6 (PBE+U, relaxed)
data_Cr3FeO6
_space_group_name_H-M_alt 'P 1'
_space_group_IT_number 1
_cell_length_a 9.1882
_cell_length_b 10.2405
_cell_length_c 10.3601
_cell_angle_alpha 84.20
_cell_angle_beta 86.91
_cell_angle_gamma 87.43
loop_
_space_group_symop_operation_xyz
'x,y,z'
loop_
_atom_site_label
_atom_site_type_symbol
_atom_site_fract_x
_atom_site_fract_y
_atom_site_fract_z
Cr1 Cr 0.0000 0.0000 0.0000
Cr2 Cr 0.0075 0.7395 0.0718
Cr3 Cr 0.0547 0.3419 0.6487
Cr4 Cr 0.0956 0.0217 0.5823
Cr5 Cr 0.1290 0.6567 0.4506
Cr6 Cr 0.1732 0.7800 0.7941
Cr7 Cr 0.2059 0.4482 0.2215
Cr8 Cr 0.2568 0.1617 0.0748
Cr9 Cr 0.3085 0.9338 0.3231
Cr10 Cr 0.3370 0.4638 0.5827
Cr11 Cr 0.3722 0.2269 0.4540
Cr12 Cr 0.3883 0.8676 0.9992
Cr13 Cr 0.5014 0.5580 0.3403
Cr14 Cr 0.5698 0.7097 0.8159
Cr15 Cr 0.6355 0.4506 0.0779
Cr16 Cr 0.6476 0.7994 0.3983
Cr17 Cr 0.6708 0.3029 0.3832
Cr18 Cr 0.6821 0.8213 0.1159
Cr19 Cr 0.6904 0.0272 0.6615
Cr20 Cr 0.8402 0.5297 0.8562
Cr21 Cr 0.8735 0.5365 0.2874
Cr22 Cr 0.9082 0.8366 0.5475
Cr23 Cr 0.9218 0.0251 0.2627
Cr24 Cr 0.9881 0.2744 0.0866
Fe1 Fe 0.0012 0.2554 0.3806
Fe2 Fe 0.3559 0.4097 0.9239
Fe3 Fe 0.4136 0.9537 0.5975
Fe4 Fe 0.4508 0.2284 0.7436
Fe5 Fe 0.6376 0.1101 0.1879
Fe6 Fe 0.7280 0.2261 0.9267
Fe7 Fe 0.7889 0.5473 0.5676
Fe8 Fe 0.8807 0.8019 0.8173
O1 O 0.0061 0.1933 0.5719
O2 O 0.0154 0.6516 0.8928
O3 O 0.0190 0.8970 0.1631
O4 O 0.0910 0.1491 0.2178
O5 O 0.0919 0.7633 0.6100
O6 O 0.0929 0.5968 0.2646
O7 O 0.0949 0.1608 0.9632
O8 O 0.1271 0.5053 0.5915
O9 O 0.1616 0.8596 0.9604
O10 O 0.1938 0.8115 0.3401
O11 O 0.2031 0.3642 0.0645
O12 O 0.2180 0.3320 0.3623
O13 O 0.2396 0.9499 0.7056
O14 O 0.2664 0.0554 0.4582
O15 O 0.2728 0.2776 0.6253
O16 O 0.3210 0.9843 0.1412
O17 O 0.3348 0.6085 0.4547
O18 O 0.3590 0.7233 0.8612
O19 O 0.3792 0.2060 0.9161
O20 O 0.3975 0.5042 0.1887
O21 O 0.4353 0.4217 0.7446
O22 O 0.4618 0.8854 0.4314
O23 O 0.4924 0.3855 0.4617
O24 O 0.5060 0.1212 0.5898
O25 O 0.5189 0.1836 0.3208
O26 O 0.5509 0.8940 0.7315
O27 O 0.5620 0.7516 0.9934
O28 O 0.5683 0.7316 0.2499
O29 O 0.5758 0.9727 0.0635
O30 O 0.5882 0.2712 0.0777
O31 O 0.6180 0.6219 0.4870
O32 O 0.6276 0.5297 0.8991
O33 O 0.6619 0.1663 0.7718
O34 O 0.6752 0.4602 0.2603
O35 O 0.7215 0.8952 0.5304
O36 O 0.7338 0.9295 0.2609
O37 O 0.7739 0.6781 0.7212
O38 O 0.8036 0.1699 0.3310
O39 O 0.8298 0.6615 0.1386
O40 O 0.8358 0.3848 0.9917
O41 O 0.8359 0.4108 0.4515
O42 O 0.8481 0.1201 0.0837
O43 O 0.8545 0.8638 0.9862
O44 O 0.8712 0.4264 0.7122
O45 O 0.8993 0.6831 0.4468
O46 O 0.9035 0.9583 0.6914
O47 O 0.9799 0.3920 0.2217
O48 O 0.9867 0.9683 0.4383
# Formation energy = -18.18 eV per formula unit

# Li7Mn4P8O28 (PBE+U, relaxed)
data_Li7Mn4P8O28
_space_group_name_H-M_alt 'P 1'
_space_group_IT_number 1
_cell_length_a 9.9243
_cell_length_b 9.9387
_cell_length_c 11.3701
_cell_angle_alpha 77.04
_cell_angle_beta 89.91
_cell_angle_gamma 89.79
loop_
_space_group_symop_operation_xyz
'x,y,z'
loop_
_atom_site_label
_atom_site_type_symbol
_atom_site_fract_x
_atom_site_fract_y
_atom_site_fract_z
Li1 Li 0.0000 0.0000 0.0000
Li2 Li 0.0120 0.9821 0.5039
Li3 Li 0.0270 0.4168 0.5176
Li4 Li 0.1433 0.7187 0.9919
Li5 Li 0.2018 0.2190 0.9908
Li6 Li 0.3163 0.9156 0.5170
Li7 Li 0.3326 0.4806 0.5029
Li8 Li 0.3455 0.4997 0.0003
Li9 Li 0.4995 0.1611 0.0897
Li10 Li 0.5341 0.7435 0.5735
Li11 Li 0.6432 0.4416 0.0976
Li12 Li 0.7012 0.9419 0.0965
Li13 Li 0.8121 0.2430 0.5729
Li14 Li 0.8445 0.6606 0.0900
Mn1 Mn 0.0015 0.1276 0.2202
Mn2 Mn 0.1346 0.5882 0.7200
Mn3 Mn 0.2101 0.0882 0.7192
Mn4 Mn 0.3441 0.6270 0.2206
Mn5 Mn 0.5037 0.0372 0.8625
Mn6 Mn 0.6393 0.5705 0.3738
Mn7 Mn 0.7061 0.0700 0.3728
Mn8 Mn 0.8401 0.5371 0.8623
P1 P 0.0719 0.4530 0.1175
P2 P 0.1284 0.7107 0.4370
P3 P 0.2162 0.2104 0.4368
P4 P 0.2736 0.9530 0.1172
P5 P 0.3548 0.7709 0.7886
P6 P 0.3737 0.3556 0.7861
P7 P 0.4704 0.3034 0.3045
P8 P 0.4903 0.8878 0.3007
P9 P 0.5713 0.7083 0.9715
P10 P 0.6284 0.4481 0.6549
P11 P 0.7164 0.9483 0.6547
P12 P 0.7729 0.2083 0.9716
P13 P 0.8545 0.3882 0.3006
P14 P 0.8742 0.8040 0.3044
P15 P 0.9713 0.8557 0.7860
P16 P 0.9900 0.2705 0.7887
O1 O 0.0018 0.4424 0.2484
O2 O 0.0085 0.8558 0.9158
O3 O 0.0103 0.4149 0.8146
O4 O 0.0220 0.7337 0.3245
O5 O 0.0632 0.9443 0.6898
O6 O 0.0680 0.6022 0.5433
O7 O 0.0830 0.3062 0.0981
O8 O 0.0919 0.1500 0.3877
O9 O 0.0949 0.1647 0.8575
O10 O 0.1336 0.0173 0.1257
O11 O 0.1465 0.8490 0.4687
O12 O 0.1973 0.3487 0.4689
O13 O 0.2111 0.5176 0.1261
O14 O 0.2504 0.6649 0.8572
O15 O 0.2532 0.6497 0.3879
O16 O 0.2637 0.8063 0.0976
O17 O 0.2771 0.1016 0.5428
O18 O 0.2812 0.4445 0.6900
O19 O 0.3230 0.2332 0.3245
O20 O 0.3338 0.9149 0.8153
O21 O 0.3360 0.3557 0.9157
O22 O 0.3429 0.9427 0.2481
O23 O 0.3584 0.7663 0.6567
O24 O 0.3594 0.0549 0.0259
O25 O 0.3805 0.2056 0.7649
O26 O 0.4586 0.4513 0.3319
O27 O 0.4857 0.6065 0.0634
O28 O 0.4862 0.8920 0.4324
O29 O 0.5020 0.3098 0.1722
O30 O 0.5019 0.7161 0.8412
O31 O 0.5108 0.7434 0.2743
O32 O 0.5206 0.4218 0.7683
O33 O 0.5558 0.5525 0.5494
O34 O 0.5680 0.2160 0.3935
O35 O 0.5798 0.8556 0.9901
O36 O 0.5947 0.9938 0.2325
O37 O 0.5964 0.0104 0.7069
O38 O 0.6338 0.1430 0.9643
O39 O 0.6523 0.3131 0.6207
O40 O 0.6934 0.8134 0.6207
O41 O 0.7113 0.6438 0.9645
O42 O 0.7476 0.5102 0.7067
O43 O 0.7497 0.4941 0.2321
O44 O 0.7628 0.3554 0.9903
O45 O 0.7771 0.7175 0.3935
O46 O 0.7885 0.0524 0.5489
O47 O 0.8239 0.9221 0.7682
O48 O 0.8347 0.2435 0.2751
O49 O 0.8431 0.2164 0.8413
O50 O 0.8432 0.8100 0.1718
O51 O 0.8577 0.3931 0.4324
O52 O 0.8592 0.1066 0.0635
O53 O 0.8850 0.9525 0.3306
O54 O 0.9653 0.7054 0.7654
O55 O 0.9855 0.5546 0.0261
O56 O 0.9870 0.2653 0.6568
# Formation energy = -123.47 eV per formula unit

# NaFe2O4 (PBE+U, relaxed)
data_NaFe2O4
_space_group_name_H-M_alt 'P m m 2'
_space_group_IT_number 25
_cell_length_a 5.6336
_cell_length_b 11.4436
_cell_length_c 4.8766
_cell_angle_alpha 90.00
_cell_angle_beta 90.00
_cell_angle_gamma 90.00
loop_
_space_group_symop_operation_xyz
'x,y,z'
'-x,-y,z'
'-x,y,z'
'x,-y,z'
loop_
_atom_site_label
_atom_site_type_symbol
_atom_site_fract_x
_atom_site_fract_y
_atom_site_fract_z
Na1 Na 0.0000 0.0000 0.0000
Na2 Na 0.0000 0.5000 0.3281
Na3 Na 0.5000 0.0000 0.6100
Na4 Na 0.5000 0.5000 0.9387
Fe1 Fe 0.0000 0.2539 0.9655
Fe2 Fe 0.2506 0.2502 0.4688
Fe3 Fe 0.5000 0.2466 0.9727
O1 O 0.0000 0.1636 0.2973
O2 O 0.0000 0.3397 0.6314
O3 O 0.2485 0.1594 0.8032
O4 O 0.2508 0.3404 0.1350
O5 O 0.5000 0.1595 0.3070
O6 O 0.5000 0.3364 0.6406
# Formation energy = -10.34 eV per formula unit

# Li4Mn3Nb2Cu3O16 (PBE+U, relaxed)
data_Li4Mn3Nb2Cu3O16
_space_group_name_H-M_alt 'P 1'
_space_group_IT_number 1
_cell_length_a 5.8935
_cell_length_b 5.9368
_cell_length_c 9.7928
_cell_angle_alpha 87.59
_cell_angle_beta 89.72
_cell_angle_gamma 61.17
loop_
_space_group_symop_operation_xyz
'x,y,z'
loop_
_atom_site_label
_atom_site_type_symbol
_atom_site_fract_x
_atom_site_fract_y
_atom_site_fract_z
Li1 Li 0.0000 0.0000 0.0000
Li2 Li 0.0010 0.0032 0.4924
Li3 Li 0.3192 0.3567 0.9105
Li4 Li 0.6623 0.6858 0.4089
Mn1 Mn 0.1647 0.6673 0.2271
Mn2 Mn 0.3332 0.8390 0.7218
Mn3 Mn 0.8314 0.8366 0.7227
Nb1 Nb 0.3511 0.3201 0.4917
Nb2 Nb 0.6602 0.6701 0.0021
Cu1 Cu 0.1655 0.1750 0.2178
Cu2 Cu 0.6600 0.1739 0.2162
Cu3 Cu 0.8274 0.3482 0.7205
O1 O 0.9995 0.0058 0.8110
O2 O 0.0256 0.5130 0.3523
O3 O 0.1543 0.6893 0.6161
O4 O 0.1794 0.1562 0.5944
O5 O 0.3253 0.3534 0.1275
O6 O 0.3325 0.8266 0.1013
O7 O 0.4378 0.5442 0.3617
O8 O 0.4811 0.5597 0.8498
O9 O 0.4961 0.0522 0.3642
O10 O 0.5140 0.9767 0.8351
O11 O 0.6581 0.6863 0.6223
O12 O 0.6728 0.1633 0.6015
O13 O 0.8149 0.3339 0.0796
O14 O 0.8573 0.8026 0.0956
O15 O 0.9541 0.5492 0.8468
O16 O 0.9958 0.0033 0.3027
# Formation energy = -57.16 eV per formula unit

# LiCoP5O15 (PBE+U, relaxed)
data_LiCoP5O15
_space_group_name_H-M_alt 'P 1 21/c 1'
_space_group_IT_number 14
_cell_length_a 11.8248
_cell_length_b 10.2490
_cell_length_c 9.8353
_cell_angle_alpha 90.00
_cell_angle_beta 106.69
_cell_angle_gamma 90.00
loop_
_space_group_symop_operation_xyz
'x,y,z'
'-x,-y,-z'
'-x,y+1/2,-z+1/2'
'x,-y+1/2,z+1/2'
loop_
_atom_site_label
_atom_site_type_symbol
_atom_site_fract_x
_atom_site_fract_y
_atom_site_fract_z
Li1 Li 0.0081 0.1092 0.4117
Co1 Co 0.1556 0.6131 0.7178
P1 P 0.0860 0.5923 0.3607
P2 P 0.2221 0.1647 0.9231
P3 P 0.2436 0.5259 0.0432
P4 P 0.3618 0.2213 0.7026
P5 P 0.3787 0.7230 0.6168
O1 O 0.0155 0.0091 0.2267
O2 O 0.0810 0.6344 0.5051
O3 O 0.1213 0.2474 0.4014
O4 O 0.1206 0.6962 0.2708
O5 O 0.1270 0.0011 0.5672
O6 O 0.2093 0.0186 0.8923
O7 O 0.2525 0.5270 0.8954
O8 O 0.3037 0.1693 0.0908
O9 O 0.3120 0.2211 0.8348
O10 O 0.3127 0.6421 0.1366
O11 O 0.3181 0.6197 0.6763
O12 O 0.3381 0.0898 0.6274
O13 O 0.4137 0.7123 0.4855
O14 O 0.4789 0.0181 0.4380
O15 O 0.4918 0.2448 0.2495
# Formation energy = -42.86 eV per formula unit

# SrLaCo2O6 (PBE+U, relaxed)
data_SrLaCo2O6
_space_group_name_H-M_alt 'F m -3 m'
_space_group_IT_number 225
_space_group_name_Hall '-F 4 2 3'
_cell_length_a 7.6308
_cell_length_b 7.6308
_cell_length_c 7.6308
_cell_angle_alpha 90.00
_cell_angle_beta 90.00
_cell_angle_gamma 90.00
loop_
_atom_site_label
_atom_site_type_symbol
_atom_site_fract_x
_atom_site_fract_y
_atom_site_fract_z
Sr1 Sr 0.0000 0.0000 0.0000
La1 La 0.0000 0.0000 0.5000
Co1 Co 0.2500 0.2500 0.2500
O1 O 0.0000 0.2500 0.2500
# Formation energy = -21.99 eV per formula unit